# HfTaV4 PBE optimized geometry
# **Calculated total energy**: -9.72 eV/atom
# **ΔH_f (0 K)**: -25 meV per atom
data_HfTaV4
_chemical_formula_sum 'Hf4 Ta4 V16'
_space_group_name_H-M_alt 'F -4 3 m'
_space_group_IT_number 216
_space_group_name_Hall 'F -4 2 3'
_cell_length_a 7.216
_cell_length_b 7.216
_cell_length_c 7.216
_cell_angle_alpha 90.00
_cell_angle_beta 90.00
_cell_angle_gamma 90.00
loop_
_atom_site_label
_atom_site_type_symbol
_atom_site_fract_x
_atom_site_fract_y
_atom_site_fract_z
Hf1 Hf 0.000 0.000 0.000
Ta1 Ta 0.250 0.250 0.250
V1 V 0.125 0.125 0.625